DFT (PBE+U) results for an optimized crystal structure of CoH9C4N3O6.

Cell lengths 8.541, 11.924, 8.965 Å; angles 90.00, 90.00, 90.00 degrees
Atoms (fractional coordinates):
1 Co 0.750 0.250 0.750
2 Co 0.250 0.250 0.250
3 Co 0.750 0.750 0.750
4 Co 0.250 0.750 0.250
5 C 0.750 0.000 0.258
6 C 0.981 0.224 0.486
7 C 0.250 0.500 0.300
8 C 0.481 0.276 0.986
9 C 0.250 0.000 0.742
10 C 0.019 0.776 0.514
11 C 0.750 0.500 0.242
12 C 0.519 0.724 0.014
13 C 0.250 0.000 0.200
14 C 0.519 0.776 0.486
15 C 0.019 0.724 0.986
16 C 0.981 0.276 0.014
17 C 0.750 0.500 0.700
18 C 0.750 0.000 0.800
19 C 0.250 0.500 0.758
20 C 0.481 0.224 0.514
21 H 0.331 0.923 0.931
22 H 0.592 0.787 0.072
23 H 0.092 0.713 0.572
24 H 0.169 0.423 0.569
25 H 0.169 0.077 0.931
26 H 0.186 0.059 0.536
27 H 0.669 0.077 0.069
28 H 0.686 0.441 0.036
29 H 0.250 0.500 0.177
30 H 0.814 0.941 0.464
31 H 0.331 0.577 0.569
32 H 0.686 0.059 0.464
33 H 0.414 0.876 0.759
34 H 0.831 0.577 0.431
35 H 0.669 0.423 0.431
36 H 0.092 0.787 0.928
37 H 0.408 0.287 0.572
38 H 0.314 0.559 0.964
39 H 0.914 0.624 0.259
40 H 0.750 0.500 0.823
41 H 0.908 0.213 0.072
42 H 0.586 0.376 0.259
43 H 0.586 0.124 0.241
44 H 0.186 0.441 0.964
45 H 0.314 0.941 0.536
46 H 0.908 0.287 0.428
47 H 0.592 0.713 0.428
48 H 0.814 0.559 0.036
49 H 0.831 0.923 0.069
50 H 0.086 0.124 0.759
51 H 0.250 0.000 0.323
52 H 0.414 0.624 0.741
53 H 0.086 0.376 0.741
54 H 0.750 0.000 0.677
55 H 0.408 0.213 0.928
56 H 0.914 0.876 0.241
57 N 0.660 0.073 0.183
58 N 0.750 0.000 0.406
59 N 0.160 0.427 0.683
60 N 0.840 0.573 0.317
61 N 0.750 0.500 0.094
62 N 0.160 0.073 0.817
63 N 0.340 0.573 0.683
64 N 0.340 0.927 0.817
65 N 0.840 0.927 0.183
66 N 0.250 0.500 0.906
67 N 0.250 0.000 0.594
68 N 0.660 0.427 0.317
69 O 0.743 0.406 0.634
70 O 0.602 0.314 0.921
71 O 0.561 0.693 0.884
72 O 0.102 0.186 0.421
73 O 0.257 0.906 0.134
74 O 0.898 0.814 0.579
75 O 0.102 0.314 0.079
76 O 0.939 0.307 0.884
77 O 0.561 0.807 0.616
78 O 0.439 0.307 0.116
79 O 0.602 0.186 0.579
80 O 0.757 0.906 0.866
81 O 0.061 0.807 0.384
82 O 0.061 0.693 0.116
83 O 0.898 0.686 0.921
84 O 0.243 0.094 0.134
85 O 0.257 0.594 0.366
86 O 0.743 0.094 0.866
87 O 0.439 0.193 0.384
88 O 0.757 0.594 0.634
89 O 0.398 0.814 0.421
90 O 0.243 0.406 0.366
91 O 0.939 0.193 0.616
92 O 0.398 0.686 0.079

Calculated values
For the uncorrected energy, the calculation gives -6.20 eV/atom. For the calculated formation energy, the calculation gives -19.2 eV per formula unit.

DFT (PBE+U) results for an optimized crystal structure of Rb2VAuF6.

Cell lengths 6.299, 6.299, 6.299 Å; angles 60.00, 60.00, 60.00 degrees
Atoms (fractional coordinates):
1 F 0.221 0.221 0.779
2 F 0.779 0.221 0.221
3 F 0.221 0.779 0.779
4 F 0.221 0.779 0.221
5 F 0.779 0.221 0.779
6 F 0.779 0.779 0.221
7 Rb 0.250 0.250 0.250
8 Rb 0.750 0.750 0.750
9 V 0.000 0.000 0.000
10 Au 0.500 0.500 0.500

Calculated values
The total magnetic moment comes out at 2.00 μB/cell. For the uncorrected energy, the calculation gives -4.65 eV/atom. For the calculated formation energy, the calculation gives -25.2 eV per formula unit.

DFT (PBE+U) results for an optimized crystal structure of Ca6Mn3Al2O15.

Cell lengths 8.233, 8.233, 16.245 Å; angles 71.13, 71.13, 39.60 degrees
Atoms (fractional coordinates):
1 O 0.780 0.774 0.735
2 O 0.150 0.847 0.366
3 O 0.124 0.876 0.066
4 O 0.226 0.245 0.753
5 O 0.541 0.198 0.460
6 O 0.791 0.413 0.038
7 O 0.224 0.223 0.592
8 O 0.578 0.212 0.767
9 O 0.847 0.150 0.866
10 O 0.243 0.224 0.919
11 O 0.876 0.124 0.566
12 O 0.245 0.226 0.253
13 O 0.752 0.767 0.578
14 O 0.426 0.799 0.203
15 O 0.413 0.791 0.538
16 O 0.767 0.752 0.078
17 O 0.770 0.775 0.407
18 O 0.224 0.243 0.419
19 O 0.461 0.804 0.863
20 O 0.872 0.128 0.214
21 O 0.198 0.541 0.960
22 O 0.775 0.770 0.907
23 O 0.193 0.585 0.610
24 O 0.774 0.780 0.235
25 O 0.128 0.872 0.714
26 O 0.212 0.578 0.267
27 O 0.799 0.426 0.703
28 O 0.585 0.193 0.110
29 O 0.804 0.461 0.363
30 O 0.223 0.224 0.092
31 Ca 0.148 0.584 0.119
32 Ca 0.109 0.629 0.466
33 Ca 0.575 0.149 0.304
34 Ca 0.883 0.374 0.879
35 Ca 0.416 0.861 0.712
36 Ca 0.149 0.575 0.804
37 Ca 0.374 0.883 0.379
38 Ca 0.420 0.851 0.027
39 Ca 0.584 0.148 0.619
40 Ca 0.861 0.416 0.212
41 Ca 0.851 0.420 0.527
42 Ca 0.629 0.109 0.966
43 Mn 0.990 0.522 0.327
44 Mn 0.996 0.500 0.664
45 Mn 0.522 0.990 0.827
46 Mn 0.014 0.479 0.000
47 Mn 0.500 0.996 0.164
48 Mn 0.479 0.014 0.500
49 Al 0.828 0.174 0.759
50 Al 0.174 0.828 0.259
51 Al 0.163 0.833 0.604
52 Al 0.833 0.163 0.104

Calculated values
The total magnetic moment comes out at 18.00 μB/cell. For the uncorrected energy, the calculation gives -6.88 eV/atom. For the calculated formation energy, the calculation gives -73.0 eV per formula unit.

DFT (PBE+U) results for an optimized crystal structure of LiCr3O8.

Cell lengths 5.532, 8.302, 8.103 Å; angles 76.25, 109.96, 70.54 degrees
Atoms (fractional coordinates):
1 O 0.747 0.231 0.724
2 O 0.277 0.832 0.895
3 O 0.747 0.731 0.224
4 O 0.254 0.269 0.776
5 O 0.769 0.003 0.541
6 O 0.769 0.503 0.041
7 O 0.215 0.668 0.605
8 O 0.785 0.332 0.395
9 O 0.215 0.168 0.105
10 O 0.231 0.997 0.459
11 O 0.277 0.332 0.395
12 O 0.785 0.832 0.895
13 O 0.722 0.668 0.605
14 O 0.231 0.497 0.959
15 O 0.253 0.769 0.276
16 O 0.723 0.168 0.105
17 Cr 0.000 0.750 0.750
18 Cr 0.646 0.724 0.015
19 Cr 0.000 0.250 0.250
20 Cr 0.354 0.276 0.985
21 Cr 0.354 0.776 0.484
22 Cr 0.646 0.224 0.515
23 Li 0.000 0.500 0.500
24 Li 0.000 0.000 0.000

Calculated values
For the uncorrected energy, the calculation gives -6.82 eV/atom. For the calculated formation energy, the calculation gives -22.9 eV per formula unit.

DFT (PBE+U) results for an optimized crystal structure of Na3Mn2P2C2O14.

Cell lengths 8.374, 8.428, 9.011 Å; angles 91.05, 91.07, 103.29 degrees
Atoms (fractional coordinates):
1 O 0.405 0.178 0.468
2 O 0.102 0.849 0.854
3 O 0.677 0.105 0.671
4 O 0.022 0.271 0.949
5 O 0.400 0.647 0.138
6 O 0.332 0.918 0.321
7 O 0.082 0.345 0.535
8 O 0.305 0.557 0.423
9 O 0.895 0.147 0.150
10 O 0.608 0.854 0.176
11 O 0.829 0.374 0.339
12 O 0.808 0.052 0.426
13 O 0.915 0.660 0.467
14 O 0.646 0.565 0.326
15 O 0.104 0.353 0.184
16 O 0.857 0.908 0.667
17 O 0.194 0.941 0.570
18 O 0.127 0.087 0.337
19 O 0.897 0.640 0.816
20 O 0.359 0.439 0.672
21 O 0.528 0.775 0.939
22 O 0.581 0.835 0.532
23 O 0.483 0.231 0.060
24 O 0.697 0.442 0.577
25 O 0.394 0.146 0.827
26 O 0.974 0.721 0.053
27 O 0.602 0.355 0.856
28 O 0.172 0.622 0.666
29 P 0.263 0.026 0.426
30 P 0.732 0.978 0.574
31 P 0.770 0.511 0.428
32 P 0.232 0.491 0.571
33 C 0.991 0.737 0.918
34 C 0.512 0.758 0.076
35 C 0.008 0.258 0.084
36 C 0.491 0.242 0.923
37 Mn 0.983 0.237 0.353
38 Mn 0.017 0.770 0.649
39 Mn 0.511 0.271 0.656
40 Mn 0.472 0.736 0.342
41 Na 0.894 0.857 0.245
42 Na 0.619 0.629 0.758
43 Na 0.374 0.875 0.766
44 Na 0.887 0.349 0.755
45 Na 0.616 0.125 0.242
46 Na 0.383 0.383 0.235

Calculated values
Its relative energy among the computed polymorphs is 0.002 eV/atom. The total magnetic moment comes out at 14.00 μB/cell. For the uncorrected energy, the calculation gives -6.94 eV/atom. For the calculated formation energy, the calculation gives -51.7 eV per formula unit.

DFT (PBE+U) results for an optimized crystal structure of V4OF11.

Cell lengths 5.256, 5.447, 7.610 Å; angles 93.00, 89.98, 90.64 degrees
Atoms (fractional coordinates):
1 F 0.601 0.504 0.249
2 F 0.806 0.303 0.550
3 F 0.306 0.196 0.447
4 F 0.782 0.706 0.959
5 F 0.901 0.006 0.250
6 F 0.692 0.805 0.551
7 F 0.297 0.793 0.053
8 F 0.194 0.696 0.450
9 F 0.405 0.502 0.750
10 F 0.710 0.212 0.948
11 F 0.097 0.991 0.749
12 V 0.501 0.500 0.500
13 V 0.479 0.485 0.004
14 V 0.000 0.000 0.500
15 V 0.004 0.004 0.001
16 O 0.226 0.296 0.039

Calculated values
Its relative energy among the computed polymorphs is 0.001 eV/atom. For the uncorrected energy, the calculation gives -6.24 eV/atom. For the calculated formation energy, the calculation gives -50.1 eV per formula unit.

DFT (PBE+U) results for an optimized crystal structure of Li4VC4O12.

Cell lengths 8.334, 9.926, 11.109 Å; angles 90.30, 91.16, 90.04 degrees
Atoms (fractional coordinates):
1 Li 0.523 0.331 0.322
2 Li 0.430 0.172 0.877
3 Li 0.968 0.884 0.964
4 Li 0.086 0.640 0.128
5 Li 0.471 0.668 0.661
6 Li 0.094 0.594 0.417
7 Li 0.192 0.392 0.208
8 Li 0.466 0.618 0.959
9 Li 0.576 0.855 0.143
10 Li 0.405 0.096 0.580
11 Li 0.306 0.907 0.784
12 Li 0.803 0.592 0.779
13 Li 0.934 0.328 0.864
14 Li 0.025 0.169 0.333
15 Li 0.695 0.109 0.217
16 Li 0.973 0.829 0.671
17 O 0.494 0.551 0.304
18 O 0.404 0.805 0.019
19 O 0.682 0.665 0.130
20 O 0.906 0.698 0.021
21 O 0.309 0.277 0.558
22 O 0.308 0.600 0.765
23 O 0.192 0.473 0.548
24 O 0.186 0.776 0.440
25 O 0.503 0.446 0.685
26 O 0.850 0.677 0.606
27 O 0.108 0.338 0.995
28 O 0.606 0.161 0.000
29 O 0.759 0.406 0.739
30 O 0.068 0.521 0.780
31 O 0.815 0.150 0.872
32 O 0.891 0.252 0.208
33 O 0.743 0.921 0.263
34 O 0.820 0.198 0.554
35 O 0.430 0.017 0.215
36 O 0.266 0.094 0.733
37 O 0.208 0.943 0.950
38 O 0.584 0.234 0.717
39 O 0.802 0.900 0.762
40 O 0.907 0.741 0.290
41 O 0.388 0.245 0.203
42 O 0.861 0.544 0.439
43 O 0.937 0.480 0.207
44 O 0.639 0.040 0.559
45 O 0.107 0.748 0.793
46 O 0.161 0.329 0.390
47 O 0.006 0.053 0.696
48 O 0.334 0.826 0.609
49 O 0.234 0.586 0.268
50 O 0.406 0.763 0.280
51 O 0.281 0.512 0.020
52 O 0.644 0.177 0.395
53 O 0.560 0.976 0.785
54 O 0.703 0.568 0.949
55 O 0.324 0.355 0.876
56 O 0.999 0.950 0.318
57 O 0.177 0.838 0.126
58 O 0.090 0.266 0.725
59 O 0.310 0.970 0.452
60 O 0.785 0.992 0.016
61 O 0.192 0.095 0.237
62 O 0.675 0.698 0.447
63 O 0.699 0.405 0.242
64 O 0.603 0.749 0.785
65 C 0.232 0.404 0.968
66 C 0.796 0.641 0.504
67 C 0.730 0.098 0.967
68 C 0.770 0.641 0.029
69 C 0.219 0.357 0.493
70 C 0.621 0.362 0.715
71 C 0.848 0.373 0.217
72 C 0.278 0.855 0.506
73 C 0.877 0.870 0.289
74 C 0.342 0.126 0.216
75 C 0.650 0.869 0.779
76 C 0.375 0.634 0.284
77 C 0.155 0.629 0.781
78 C 0.123 0.137 0.718
79 C 0.269 0.864 0.028
80 C 0.701 0.140 0.496
81 V 0.231 0.904 0.288
82 V 0.267 0.407 0.712
83 V 0.762 0.092 0.711
84 V 0.735 0.596 0.289

Calculated values
The total magnetic moment comes out at 4.00 μB/cell. For the uncorrected energy, the calculation gives -6.99 eV/atom. For the calculated formation energy, the calculation gives -43.7 eV per formula unit.

DFT (PBE+U) results for an optimized crystal structure of Li2Mn3ZnO8.

Cell lengths 8.302, 8.302, 8.302 Å; angles 90.00, 90.00, 90.00 degrees
Atoms (fractional coordinates):
1 Zn 0.501 0.499 0.999
2 Zn 0.499 0.999 0.501
3 Zn 0.999 0.501 0.499
4 Zn 0.001 0.001 0.001
5 Mn 0.123 0.378 0.876
6 Mn 0.376 0.377 0.622
7 Mn 0.876 0.123 0.378
8 Mn 0.623 0.122 0.124
9 Mn 0.378 0.876 0.123
10 Mn 0.622 0.376 0.377
11 Mn 0.624 0.877 0.878
12 Mn 0.122 0.124 0.623
13 Mn 0.878 0.624 0.877
14 Mn 0.877 0.878 0.624
15 Mn 0.377 0.622 0.376
16 Mn 0.124 0.623 0.122
17 O 0.121 0.148 0.859
18 O 0.629 0.106 0.899
19 O 0.363 0.637 0.137
20 O 0.859 0.121 0.148
21 O 0.394 0.101 0.129
22 O 0.879 0.648 0.641
23 O 0.113 0.613 0.887
24 O 0.399 0.871 0.894
25 O 0.148 0.859 0.121
26 O 0.359 0.379 0.852
27 O 0.129 0.394 0.101
28 O 0.621 0.352 0.141
29 O 0.371 0.606 0.601
30 O 0.606 0.601 0.371
31 O 0.141 0.621 0.352
32 O 0.101 0.129 0.394
33 O 0.887 0.113 0.613
34 O 0.641 0.879 0.648
35 O 0.637 0.137 0.363
36 O 0.894 0.399 0.871
37 O 0.387 0.387 0.387
38 O 0.863 0.863 0.863
39 O 0.106 0.899 0.629
40 O 0.648 0.641 0.879
41 O 0.613 0.887 0.113
42 O 0.137 0.363 0.637
43 O 0.899 0.629 0.106
44 O 0.871 0.894 0.399
45 O 0.601 0.371 0.606
46 O 0.352 0.141 0.621
47 O 0.852 0.359 0.379
48 O 0.379 0.852 0.359
49 Li 0.249 0.249 0.249
50 Li 0.125 0.875 0.375
51 Li 0.749 0.251 0.751
52 Li 0.375 0.125 0.875
53 Li 0.251 0.751 0.749
54 Li 0.625 0.625 0.625
55 Li 0.875 0.375 0.125
56 Li 0.751 0.749 0.251

Calculated values
The total magnetic moment comes out at 36.00 μB/cell. The maximum piezoelectric response comes out at 0.0 C/m². For the uncorrected energy, the calculation gives -6.42 eV/atom. For the calculated formation energy, the calculation gives -28.3 eV per formula unit.